[1]
DFT (GGA-PBE) results for an optimized crystal structure of Tm5Mg.

Computed properties:
As for the volume: 173.28 Å³/cell. The formation energy comes out at 0.1 eV/f.u. Its crystal system is trigonal. Its space group is R32 (155). Its offset from the most stable computed form is 0.00 eV/f.u.

a = 6.5021 Å, b = 6.5021 Å, c = 6.5021 Å
α = 55.33°, β = 55.33°, γ = 55.33°
Closest atoms and distances in Å follow each position.
Fractional positions:
1 Tm 0.0000 0.6632 0.3368  10 Tm 3.38-3.52, 2 Mg 3.40
2 Tm 0.1677 0.1677 0.1677  9 Tm 3.38-3.49, 3 Mg 3.49
3 Tm 0.3368 0.0000 0.6632  10 Tm 3.38-3.52, 2 Mg 3.40
4 Tm 0.8323 0.8323 0.8323  9 Tm 3.38-3.49, 3 Mg 3.49
5 Tm 0.6632 0.3368 0.0000  10 Tm 3.38-3.52, 2 Mg 3.40
6 Mg 0.5000 0.5000 0.5000  12 Tm 3.40-3.49


[2]
DFT (GGA-PBE) results for an optimized crystal structure of Tm5Mg24.

Computed properties:
As for the volume: 704.36 Å³/cell. The formation energy comes out at -0.9 eV/f.u. Its crystal system is cubic. Its space group is I-43m (217).

a = 9.7082 Å, b = 9.7082 Å, c = 9.7082 Å
α = 109.47°, β = 109.47°, γ = 109.47°
Closest atoms and distances in Å follow each position.
Fractional positions:
1 Tm 0.0000 0.0000 0.6283  12 Mg 3.22-3.57
2 Tm 0.6283 0.0000 0.0000  12 Mg 3.22-3.57
3 Tm 0.0000 0.0000 0.0000  12 Mg 3.46, 4 Tm 3.61
4 Tm 0.3717 0.3717 0.3717  12 Mg 3.22-3.57
5 Tm 0.0000 0.6283 0.0000  12 Mg 3.22-3.57
6 Mg 0.3901 0.6771 0.0000  5 Mg 2.96-3.30, 1 Tm 3.22
7 Mg 0.0000 0.6771 0.3901  5 Mg 2.96-3.30, 1 Tm 3.22
8 Mg 0.6771 0.3901 0.0000  5 Mg 2.96-3.30, 1 Tm 3.22
9 Mg 0.6771 0.0000 0.3901  5 Mg 2.96-3.30, 1 Tm 3.22
10 Mg 0.2869 0.6099 0.6099  5 Mg 2.96-3.30, 1 Tm 3.22
11 Mg 0.1807 0.8095 0.8095  6 Mg 2.86-3.17
12 Mg 0.3901 0.0000 0.6771  5 Mg 2.96-3.30, 1 Tm 3.22
13 Mg 0.7131 0.3229 0.3229  5 Mg 2.96-3.30, 1 Tm 3.22
14 Mg 0.0000 0.1905 0.3712  6 Mg 2.86-3.17
15 Mg 0.0000 0.3901 0.6771  5 Mg 2.96-3.30, 1 Tm 3.22
16 Mg 0.3712 0.1905 0.0000  6 Mg 2.86-3.17
17 Mg 0.1905 0.0000 0.3712  6 Mg 2.86-3.17
18 Mg 0.8095 0.8095 0.1807  6 Mg 2.86-3.17
19 Mg 0.6099 0.2869 0.6099  5 Mg 2.96-3.30, 1 Tm 3.22
20 Mg 0.3229 0.7131 0.3229  5 Mg 2.96-3.30, 1 Tm 3.22
21 Mg 0.3712 0.0000 0.1905  6 Mg 2.86-3.17
22 Mg 0.6288 0.6288 0.8193  6 Mg 2.86-3.17
23 Mg 0.1905 0.3712 0.0000  6 Mg 2.86-3.17
24 Mg 0.3229 0.3229 0.7131  5 Mg 2.96-3.30, 1 Tm 3.22
25 Mg 0.8095 0.1807 0.8095  6 Mg 2.86-3.17
26 Mg 0.6099 0.6099 0.2869  5 Mg 2.96-3.30, 1 Tm 3.22
27 Mg 0.8193 0.6288 0.6288  6 Mg 2.86-3.17
28 Mg 0.0000 0.3712 0.1905  6 Mg 2.86-3.17
29 Mg 0.6288 0.8193 0.6288  6 Mg 2.86-3.17


[3]
DFT (GGA-PBE) results for an optimized crystal structure of TmMg5.

Computed properties:
As for the volume: 146.90 Å³/cell. The formation energy comes out at 0.0 eV/f.u. Its crystal system is monoclinic. Its space group is Cm (8).

a = 6.3313 Å, b = 6.3313 Å, c = 7.3953 Å
α = 74.30°, β = 74.30°, γ = 31.09°
Closest atoms and distances in Å follow each position.
Fractional positions:
1 Mg 0.9473 0.9473 0.6046  10 Mg 3.11-3.41, 2 Tm 3.30
2 Mg 0.9861 0.9861 0.0097  9 Mg 3.15-3.39, 2 Tm 3.26
3 Mg 0.6581 0.6581 0.6858  11 Mg 3.18-3.41, 1 Tm 3.32
4 Mg 0.2887 0.2887 0.9244  9 Mg 3.11-3.39, 2 Tm 3.21
5 Mg 0.3322 0.3322 0.3512  9 Mg 3.14-3.39, 3 Tm 3.32-3.39
6 Tm 0.6210 0.6210 0.2577  10 Mg 3.21-3.39, 2 Tm 3.39


[4]
DFT (GGA-PBE) results for an optimized crystal structure of Tm5Mg.

Computed properties:
As for the volume: 175.46 Å³/cell. The formation energy comes out at 0.2 eV/f.u. Its crystal system is orthorhombic. Its space group is Amm2 (38). Its offset from the most stable computed form is 0.05 eV/f.u.

a = 9.2552 Å, b = 9.2552 Å, c = 5.5036 Å
α = 90.00°, β = 90.00°, γ = 158.15°
Closest atoms and distances in Å follow each position.
Fractional positions:
1 Mg 0.2229 0.7771 0.5000  10 Tm 3.40-3.54, 2 Mg 3.51
2 Tm 0.0002 0.9998 0.0000  12 Tm 3.40-3.55
3 Tm 0.3331 0.6669 0.0000  2 Mg 3.40, 10 Tm 3.41-3.51
4 Tm 0.5535 0.4465 0.5000  10 Tm 3.40-3.51, 2 Mg 3.54
5 Tm 0.8872 0.1128 0.5000  10 Tm 3.41-3.51, 2 Mg 3.46
6 Tm 0.6698 0.3302 0.0000  4 Mg 3.40, 8 Tm 3.45-3.55


[5]
DFT (GGA-PBE) results for an optimized crystal structure of TmMg5.

Computed properties:
As for the volume: 147.10 Å³/cell. The formation energy comes out at 0.0 eV/f.u. Its crystal system is orthorhombic. Its space group is Amm2 (38).

a = 8.6485 Å, b = 8.6485 Å, c = 5.3707 Å
α = 90.00°, β = 90.00°, γ = 158.52°
Closest atoms and distances in Å follow each position.
Fractional positions:
1 Mg 0.0015 0.9985 0.0000  12 Mg 3.20-3.27
2 Mg 0.3361 0.6639 0.0000  10 Mg 3.22-3.34, 2 Tm 3.33
3 Mg 0.6643 0.3357 0.0000  8 Mg 3.20-3.34, 4 Tm 3.27
4 Mg 0.8921 0.1079 0.5000  10 Mg 3.16-3.27, 2 Tm 3.33
5 Mg 0.5521 0.4479 0.5000  10 Mg 3.16-3.29, 2 Tm 3.28
6 Tm 0.2205 0.7795 0.5000  2 Tm 3.22, 10 Mg 3.27-3.33


[6]
DFT (GGA-PBE) results for an optimized crystal structure of Tm3Mg.

Computed properties:
As for the volume: 227.77 Å³/cell. The formation energy comes out at 0.0 eV/f.u. Its crystal system is hexagonal. Its space group is P6_3/mmc (194). Its offset from the most stable computed form is 0.10 eV/f.u.

a = 6.9164 Å, b = 6.9164 Å, c = 5.4981 Å
α = 90.00°, β = 90.00°, γ = 120.00°
Closest atoms and distances in Å follow each position.
Fractional positions:
1 Tm 0.3375 0.1687 0.7500  4 Mg 3.38-3.46, 8 Tm 3.41-3.50
2 Tm 0.8313 0.1687 0.7500  4 Mg 3.38-3.46, 8 Tm 3.41-3.50
3 Tm 0.1687 0.3375 0.2500  4 Mg 3.38-3.46, 8 Tm 3.41-3.50
4 Tm 0.1687 0.8313 0.2500  4 Mg 3.38-3.46, 8 Tm 3.41-3.50
5 Tm 0.8313 0.6625 0.7500  4 Mg 3.38-3.46, 8 Tm 3.41-3.50
6 Tm 0.6625 0.8313 0.2500  4 Mg 3.38-3.46, 8 Tm 3.41-3.50
7 Mg 0.3333 0.6667 0.7500  12 Tm 3.38-3.46
8 Mg 0.6667 0.3333 0.2500  12 Tm 3.38-3.46


[7]
DFT (GGA-PBE) results for an optimized crystal structure of MgU.

Computed properties:
As for the volume: 83.27 Å³/cell. The formation energy comes out at 0.5 eV/f.u. Its crystal system is orthorhombic. Its space group is Pmma (51).

a = 2.8003 Å, b = 4.7978 Å, c = 6.1980 Å
α = 90.00°, β = 90.00°, γ = 90.00°
Closest atoms and distances in Å follow each position.
Fractional positions:
1 U 0.5000 0.2500 0.5906  4 U 2.65-2.80
2 U 0.5000 0.7500 0.4094  4 U 2.65-2.80
3 Mg 0.0000 0.2500 0.1183  4 Mg 2.80-2.81
4 Mg 0.0000 0.7500 0.8817  4 Mg 2.80-2.81


[8]
DFT (GGA-PBE) results for an optimized crystal structure of Mg3V.

Computed properties:
As for the volume: 164.14 Å³/cell. The formation energy comes out at 1.3 eV/f.u. Its crystal system is hexagonal. Its space group is P6_3/mmc (194).

a = 6.1865 Å, b = 6.1865 Å, c = 4.9523 Å
α = 90.00°, β = 90.00°, γ = 120.00°
Closest atoms and distances in Å follow each position.
Fractional positions:
1 Mg 0.3423 0.1711 0.7500  8 Mg 3.01-3.18, 4 V 3.03-3.09
2 Mg 0.8289 0.1711 0.7500  8 Mg 3.01-3.18, 4 V 3.03-3.09
3 Mg 0.8289 0.6577 0.7500  8 Mg 3.01-3.18, 4 V 3.03-3.09
4 Mg 0.1711 0.8289 0.2500  8 Mg 3.01-3.18, 4 V 3.03-3.09
5 Mg 0.6577 0.8289 0.2500  8 Mg 3.01-3.18, 4 V 3.03-3.09
6 Mg 0.1711 0.3423 0.2500  8 Mg 3.01-3.18, 4 V 3.03-3.09
7 V 0.3333 0.6667 0.7500  12 Mg 3.03-3.09
8 V 0.6667 0.3333 0.2500  12 Mg 3.03-3.09